SiO2 after structural relaxation, computed with PBE-GGA.

abc: 15.732 15.732 15.732
angles: 100.80 100.80 128.71
Fractional coordinates of all 144 atoms:
1 O 0.749 0.436 0.074
2 O 0.310 0.654 0.487
3 O 0.956 0.652 0.512
4 O 0.976 0.673 0.688
5 O 0.966 0.447 0.877
6 O 0.362 0.675 0.926
7 O 0.977 0.881 0.916
8 O 0.343 0.300 0.537
9 O 0.782 0.598 0.568
10 O 0.941 0.342 0.996
11 O 0.152 0.688 0.690
12 O 0.360 0.584 0.612
13 O 0.005 0.397 0.609
14 O 0.162 0.999 0.340
15 O 0.402 0.970 0.184
16 O 0.564 0.638 0.313
17 O 0.950 0.973 0.617
18 O 0.756 0.676 0.326
19 O 0.416 0.027 0.776
20 O 0.354 0.072 0.910
21 O 0.345 0.944 0.004
22 O 0.667 0.050 0.023
23 O 0.252 0.640 0.224
24 O 0.312 0.002 0.464
25 O 0.437 0.659 0.392
26 O 0.556 0.646 0.718
27 O 0.999 0.957 0.779
28 O 0.803 0.234 0.193
29 O 0.993 0.214 0.013
30 O 0.162 0.444 0.090
31 O 0.041 0.610 0.807
32 O 0.637 0.575 0.428
33 O 0.766 0.959 0.568
34 O 0.818 0.610 0.210
35 O 0.955 0.563 0.222
36 O 0.350 0.430 0.674
37 O 0.177 0.838 0.836
38 O 0.325 0.251 0.687
39 O 0.346 0.833 0.656
40 O 0.198 0.355 0.373
41 O 0.030 0.215 0.432
42 O 0.700 0.237 0.043
43 O 0.324 0.650 0.080
44 O 0.425 0.853 0.062
45 O 0.021 0.007 0.221
46 O 0.780 0.001 0.958
47 O 0.973 0.748 0.388
48 O 0.400 0.608 0.790
49 O 0.790 0.363 0.938
50 O 0.911 0.034 0.481
51 O 0.119 0.035 0.096
52 O 0.043 0.822 0.042
53 O 0.763 0.806 0.463
54 O 0.553 0.430 0.519
55 O 0.570 0.244 0.920
56 O 0.140 0.444 0.488
57 O 0.659 0.823 0.660
58 O 0.788 0.396 0.391
59 O 0.167 0.823 0.513
60 O 0.178 0.220 0.221
61 O 0.390 0.600 0.208
62 O 0.645 0.019 0.843
63 O 0.712 0.024 0.698
64 O 0.785 0.218 0.816
65 O 0.556 0.044 0.697
66 O 0.027 0.644 0.977
67 O 0.201 0.979 0.987
68 O 0.570 0.089 0.123
69 O 0.604 0.995 0.392
70 O 0.603 0.212 0.608
71 O 0.056 0.059 0.401
72 O 0.538 0.848 0.536
73 O 0.939 0.023 0.904
74 O 0.928 0.838 0.282
75 O 0.194 0.657 0.957
76 O 0.341 0.733 0.778
77 O 0.147 0.210 0.572
78 O 0.001 0.341 0.164
79 O 0.998 0.462 0.310
80 O 0.786 0.799 0.779
81 O 0.162 0.058 0.714
82 O 0.392 0.182 0.792
83 O 0.658 0.655 0.599
84 O 0.965 0.061 0.084
85 O 0.344 0.448 0.286
86 O 0.986 0.288 0.312
87 O 0.981 0.825 0.627
88 O 0.267 0.045 0.608
89 O 0.175 0.802 0.157
90 O 0.177 0.690 0.344
91 O 0.942 0.656 0.104
92 O 0.348 0.860 0.303
93 O 0.552 0.838 0.896
94 O 0.356 0.333 0.383
95 O 0.390 0.197 0.432
96 O 0.327 0.014 0.302
97 Si 0.414 0.715 0.848
98 Si 0.925 0.689 0.598
99 Si 0.661 0.979 0.929
100 Si 0.268 0.339 0.317
101 Si 0.925 0.915 0.845
102 Si 0.071 0.080 0.155
103 Si 0.021 0.951 0.683
104 Si 0.089 0.703 0.756
105 Si 0.291 0.298 0.617
106 Si 0.326 0.709 0.007
107 Si 0.867 0.567 0.152
108 Si 0.043 0.976 0.311
109 Si 0.281 0.584 0.150
110 Si 0.024 0.335 0.067
111 Si 0.035 0.129 0.471
112 Si 0.057 0.590 0.904
113 Si 0.847 0.943 0.533
114 Si 0.947 0.333 0.244
115 Si 0.665 0.732 0.689
116 Si 0.035 0.589 0.324
117 Si 0.433 0.130 0.850
118 Si 0.416 0.567 0.697
119 Si 0.311 0.909 0.236
120 Si 0.289 0.965 0.554
121 Si 0.871 0.342 0.906
122 Si 0.673 0.075 0.764
123 Si 0.265 0.711 0.676
124 Si 0.685 0.153 0.096
125 Si 0.702 0.319 0.993
126 Si 0.870 0.719 0.303
127 Si 0.085 0.929 0.010
128 Si 0.297 0.053 0.386
129 Si 0.285 0.133 0.699
130 Si 0.667 0.911 0.614
131 Si 0.410 0.315 0.467
132 Si 0.268 0.957 0.933
133 Si 0.658 0.564 0.529
134 Si 0.681 0.674 0.383
135 Si 0.411 0.735 0.446
136 Si 0.436 0.965 0.094
137 Si 0.028 0.704 0.444
138 Si 0.260 0.584 0.556
139 Si 0.091 0.327 0.402
140 Si 0.296 0.740 0.324
141 Si 0.416 0.972 0.676
142 Si 0.920 0.075 0.990
143 Si 0.433 0.586 0.301
144 Si 0.049 0.732 0.071

Properties
**Space-group type**: I-4
**DFT formation energy**: -3.03 eV/atom
**Calculated total energy**: -7.678 eV per atom
**Spin magnetization**: 8.0 μB per cell

---

Ba3MgNb2ZnO9 after structural relaxation, computed with PBE-GGA.

abc: 5.721 6.206 7.886
angles: 103.74 90.00 117.45
Fractional coordinates of all 16 atoms:
1 Nb 0.635 0.269 0.848
2 Nb 0.365 0.731 0.152
3 Ba 0.287 0.574 0.700
4 Ba 0.713 0.426 0.300
5 Ba 0.000 0.000 0.000
6 O 0.500 0.000 0.000
7 O 0.710 0.420 0.643
8 O 0.290 0.580 0.357
9 O 0.245 0.987 0.311
10 O 0.258 0.013 0.689
11 O 0.742 0.987 0.311
12 O 0.000 0.500 0.000
13 O 0.755 0.013 0.689
14 O 0.500 0.500 0.000
15 Zn 0.000 0.000 0.500
16 Mg 0.500 0.000 0.500

Properties
**Space-group type**: C2/m
**DFT formation energy**: -2.76 eV/atom
**Energy above the most stable polymorph in this dataset**: 134 meV per atom
**Calculated total energy**: -6.961 eV per atom
**Spin magnetization**: 1.9 μB per cell

---

YGePS2O12 after structural relaxation, computed with PBE-GGA.

abc: 8.828 8.885 21.984
angles: 89.16 90.00 119.79
Fractional coordinates of all 102 atoms:
1 O 0.989 0.221 0.907
2 O 0.864 0.455 0.424
3 O 0.592 0.455 0.924
4 O 0.333 0.892 0.575
5 O 0.990 0.764 0.407
6 O 0.819 0.824 0.305
7 O 0.263 0.783 0.260
8 O 0.340 0.484 0.471
9 O 0.663 0.527 0.637
10 O 0.531 0.741 0.255
11 O 0.864 0.527 0.137
12 O 0.328 0.434 0.072
13 O 0.467 0.142 0.638
14 O 0.113 0.684 0.074
15 O 0.159 0.929 0.195
16 O 0.733 0.555 0.528
17 O 0.005 0.824 0.805
18 O 0.874 0.067 0.088
19 O 0.213 0.479 0.256
20 O 0.731 0.180 0.028
21 O 0.184 0.112 0.092
22 O 0.266 0.479 0.756
23 O 0.476 0.318 0.138
24 O 0.144 0.484 0.971
25 O 0.821 0.555 0.028
26 O 0.675 0.142 0.138
27 O 0.482 0.600 0.862
28 O 0.878 0.803 0.590
29 O 0.068 0.868 0.691
30 O 0.345 0.866 0.971
31 O 0.678 0.564 0.239
32 O 0.773 0.764 0.907
33 O 0.540 0.141 0.921
34 O 0.886 0.564 0.739
35 O 0.396 0.888 0.861
36 O 0.448 0.092 0.242
37 O 0.012 0.203 0.304
38 O 0.560 0.892 0.075
39 O 0.521 0.866 0.471
40 O 0.414 0.523 0.358
41 O 0.798 0.994 0.804
42 O 0.073 0.226 0.194
43 O 0.231 0.221 0.407
44 O 0.601 0.141 0.421
45 O 0.901 0.343 0.241
46 O 0.109 0.523 0.858
47 O 0.924 0.803 0.090
48 O 0.770 0.929 0.695
49 O 0.842 0.318 0.638
50 O 0.520 0.783 0.760
51 O 0.227 0.005 0.910
52 O 0.570 0.684 0.574
53 O 0.453 0.256 0.025
54 O 0.106 0.434 0.572
55 O 0.803 0.256 0.525
56 O 0.847 0.400 0.928
57 O 0.195 0.994 0.304
58 O 0.644 0.092 0.742
59 O 0.442 0.343 0.741
60 O 0.492 0.888 0.361
61 O 0.526 0.664 0.971
62 O 0.552 0.400 0.428
63 O 0.193 0.067 0.588
64 O 0.449 0.180 0.528
65 O 0.800 0.868 0.191
66 O 0.928 0.112 0.592
67 O 0.778 0.005 0.410
68 O 0.153 0.226 0.694
69 O 0.118 0.600 0.362
70 O 0.210 0.741 0.755
71 O 0.138 0.664 0.471
72 O 0.191 0.203 0.804
73 S 0.364 0.068 0.584
74 S 0.372 0.971 0.916
75 S 0.267 0.953 0.251
76 S 0.031 0.624 0.416
77 S 0.707 0.638 0.583
78 S 0.599 0.971 0.416
79 S 0.263 0.308 0.749
80 S 0.704 0.068 0.084
81 S 0.686 0.953 0.751
82 S 0.593 0.624 0.916
83 S 0.931 0.638 0.083
84 S 0.045 0.308 0.249
85 Ge 0.999 0.996 0.145
86 Ge 0.355 0.661 0.312
87 Ge 0.306 0.661 0.812
88 Ge 0.997 0.996 0.645
89 Ge 0.657 0.325 0.980
90 Ge 0.668 0.325 0.480
91 Y 0.673 0.337 0.702
92 Y 0.329 0.656 0.034
93 Y 0.996 0.002 0.868
94 Y 0.327 0.656 0.534
95 Y 0.664 0.337 0.202
96 Y 0.006 0.002 0.368
97 P 0.711 0.746 0.249
98 P 0.363 0.286 0.083
99 P 0.378 0.403 0.418
100 P 0.923 0.286 0.583
101 P 0.025 0.403 0.918
102 P 0.035 0.746 0.749

Properties
**Space-group type**: Cc
**DFT formation energy**: -2.36 eV/atom
**Calculated total energy**: -6.830 eV per atom
**Spin magnetization**: 0.0 μB per cell

---

NbO2 after structural relaxation, computed with PBE-GGA.

abc: 5.316 5.316 5.316
angles: 134.95 134.95 65.60
Fractional coordinates of all 6 atoms:
1 O 0.994 0.494 0.500
2 O 0.244 0.244 0.000
3 O 0.756 0.756 0.000
4 O 0.506 0.006 0.500
5 Nb 0.750 0.250 0.500
6 Nb 0.000 0.000 0.000

Properties
**Space-group type**: I4_1/amd
**DFT formation energy**: -2.86 eV/atom
**Calculated total energy**: -9.066 eV per atom

---

CaEuNbZnO6 after structural relaxation, computed with PBE-GGA.

abc: 5.664 5.664 5.664
angles: 60.00 60.00 60.00
Fractional coordinates of all 10 atoms:
1 Nb 0.000 0.000 0.000
2 O 0.752 0.248 0.248
3 O 0.248 0.752 0.752
4 O 0.248 0.752 0.248
5 O 0.752 0.752 0.248
6 O 0.248 0.248 0.752
7 O 0.752 0.248 0.752
8 Eu 0.250 0.250 0.250
9 Ca 0.750 0.750 0.750
10 Zn 0.500 0.500 0.500

Properties
**Space-group type**: F-43m
**DFT formation energy**: -2.78 eV/atom
**Calculated total energy**: -7.699 eV per atom
**Spin magnetization**: 6.1 μB per cell

---

UP3H7O8 after structural relaxation, computed with PBE-GGA.

abc: 7.253 7.344 17.743
angles: 90.00 90.00 90.00
Fractional coordinates of all 76 atoms:
1 O 0.368 0.817 0.765
2 O 0.424 0.975 0.470
3 O 0.868 0.683 0.235
4 O 0.468 0.199 0.344
5 O 0.398 0.569 0.660
6 O 0.603 0.290 0.569
7 O 0.598 0.514 0.388
8 O 0.930 0.322 0.022
9 O 0.098 0.986 0.612
10 O 0.032 0.801 0.844
11 O 0.287 0.828 0.326
12 O 0.070 0.822 0.478
13 O 0.902 0.486 0.888
14 O 0.713 0.328 0.174
15 O 0.576 0.475 0.030
16 O 0.968 0.301 0.656
17 O 0.402 0.014 0.112
18 O 0.397 0.790 0.931
19 O 0.898 0.931 0.340
20 O 0.430 0.178 0.978
21 O 0.632 0.317 0.735
22 O 0.132 0.183 0.265
23 O 0.102 0.431 0.160
24 O 0.897 0.710 0.069
25 O 0.924 0.525 0.530
26 O 0.103 0.210 0.431
27 O 0.787 0.672 0.674
28 O 0.076 0.025 0.970
29 O 0.213 0.172 0.826
30 O 0.570 0.678 0.522
31 O 0.532 0.699 0.156
32 O 0.602 0.069 0.840
33 U 0.805 0.521 0.123
34 U 0.195 0.021 0.377
35 U 0.695 0.479 0.623
36 U 0.305 0.979 0.877
37 H 0.392 0.320 0.203
38 H 0.986 0.060 0.100
39 H 0.227 0.804 0.181
40 H 0.205 0.268 0.560
41 H 0.795 0.768 0.940
42 H 0.727 0.005 0.718
43 H 0.773 0.995 0.218
44 H 0.227 0.495 0.282
45 H 0.262 0.457 0.988
46 H 0.583 0.567 0.440
47 H 0.705 0.232 0.440
48 H 0.608 0.820 0.297
49 H 0.727 0.696 0.819
50 H 0.486 0.440 0.900
51 H 0.238 0.543 0.488
52 H 0.773 0.304 0.319
53 H 0.083 0.933 0.560
54 H 0.738 0.957 0.512
55 H 0.014 0.560 0.400
56 H 0.273 0.196 0.681
57 H 0.417 0.067 0.060
58 H 0.295 0.732 0.060
59 H 0.917 0.433 0.940
60 H 0.892 0.180 0.797
61 H 0.273 0.505 0.782
62 H 0.108 0.680 0.703
63 H 0.762 0.043 0.012
64 H 0.514 0.940 0.600
65 P 0.441 0.388 0.975
66 P 0.559 0.888 0.525
67 P 0.711 0.145 0.772
68 P 0.368 0.805 0.127
69 P 0.868 0.695 0.873
70 P 0.211 0.355 0.228
71 P 0.632 0.305 0.373
72 P 0.132 0.195 0.627
73 P 0.059 0.612 0.475
74 P 0.289 0.645 0.728
75 P 0.941 0.112 0.025
76 P 0.789 0.855 0.272

Properties
**Space-group type**: P2_12_12_1
**DFT formation energy**: -1.73 eV/atom
**Calculated total energy**: -6.222 eV per atom
**Spin magnetization**: 0.0 μB per cell

---

Ho4In5S13 after structural relaxation, computed with PBE-GGA.

abc: 3.859 11.865 21.541
angles: 90.00 90.00 90.00
Fractional coordinates of all 44 atoms:
1 S 0.500 0.155 0.384
2 S 0.500 0.651 0.865
3 S 0.500 0.995 0.905
4 S 0.500 0.345 0.884
5 S 0.500 0.005 0.095
6 S 0.000 0.832 0.243
7 S 0.500 0.495 0.595
8 S 0.500 0.420 0.739
9 S 0.000 0.500 0.000
10 S 0.500 0.845 0.616
11 S 0.500 0.080 0.239
12 S 0.500 0.920 0.761
13 S 0.500 0.580 0.261
14 S 0.000 0.797 0.973
15 S 0.000 0.297 0.527
16 S 0.500 0.655 0.116
17 S 0.000 0.168 0.757
18 S 0.000 0.203 0.027
19 S 0.500 0.505 0.405
20 S 0.500 0.849 0.365
21 S 0.000 0.703 0.473
22 S 0.500 0.349 0.135
23 S 0.000 0.668 0.743
24 S 0.000 0.332 0.257
25 S 0.000 0.000 0.500
26 S 0.500 0.151 0.635
27 In 0.500 0.656 0.671
28 In 0.500 0.844 0.171
29 In 0.500 0.345 0.007
30 In 0.500 0.845 0.493
31 In 0.500 0.155 0.507
32 In 0.500 0.344 0.329
33 In 0.000 0.000 0.000
34 In 0.500 0.156 0.829
35 In 0.500 0.655 0.993
36 In 0.000 0.500 0.500
37 Ho 0.000 0.828 0.840
38 Ho 0.000 0.328 0.660
39 Ho 0.000 0.515 0.172
40 Ho 0.000 0.172 0.160
41 Ho 0.000 0.015 0.328
42 Ho 0.000 0.485 0.828
43 Ho 0.000 0.985 0.672
44 Ho 0.000 0.672 0.340

Properties
**Space-group type**: Pbam
**DFT formation energy**: -1.47 eV/atom
**Calculated total energy**: -5.078 eV per atom
**Spin magnetization**: 0.0 μB per cell